An optimized crystal structure of Sm3Mg. Source: Materials Project, functional r²SCAN.

The space group is I4/mmm (No. 139) and the conventional cell measures 4.970, 4.970 and 9.954 Å, with angles of 90.00, 90.00 and 90.00 degrees. The distinct sites, in fractional coordinates, are Sm at (0.000, 0.000, 0.000), Sm at (0.000, 0.500, 0.250) and Mg at (0.000, 0.000, 0.500).

As for the magnetic moment: 0.000 Bohr magnetons per cell. The calculation puts the formation enthalpy at 0 K at 0.00 eV/atom. The density is 6.42 g/cm3.

***

An optimized crystal structure of Sm2Mg. Source: Materials Project, functional r²SCAN.

The space group is Cmcm (No. 63) and the conventional cell measures 3.800, 17.408 and 5.541 Å, with angles of 90.00, 90.00 and 90.00 degrees. The distinct sites, in fractional coordinates, are Sm at (0.000, 0.089, 0.250), Sm at (0.000, 0.227, 0.750) and Mg at (0.000, 0.433, 0.250).

As for the magnetic moment: 0.045 Bohr magnetons per cell. The calculation puts the formation enthalpy at 0 K at -0.07 eV/atom. The offset from the most stable computed form comes out at 0.0 meV per atom. The density is 5.89 g/cm3.

***

An optimized crystal structure of Sm2Mg. Source: Materials Project, functional r²SCAN.

The space group is I4/mmm (No. 139) and the conventional cell measures 3.778, 3.778 and 12.853 Å, with angles of 90.00, 90.00 and 90.00 degrees. The distinct sites, in fractional coordinates, are Sm at (0.000, 0.000, 0.157) and Mg at (0.000, 0.000, 0.500).

As for the magnetic moment: 0.997 Bohr magnetons per cell. The calculation puts the formation enthalpy at 0 K at -0.06 eV/atom. The offset from the most stable computed form comes out at 10.5 meV per atom. The density is 5.88 g/cm3.

***

An optimized crystal structure of Sm2Mg. Source: Materials Project, functional r²SCAN.

The space group is C2/m (No. 12) and the conventional cell measures 13.300, 3.783 and 7.593 Å, with angles of 90.00, 106.51 and 90.00 degrees. The distinct sites, in fractional coordinates, are Sm at (0.153, 0.000, 0.072), Sm at (0.160, 0.000, 0.584) and Mg at (0.004, 0.500, 0.258).

As for the magnetic moment: 2.520 Bohr magnetons per cell. The calculation puts the formation enthalpy at 0 K at -0.06 eV/atom. The offset from the most stable computed form comes out at 12.0 meV per atom. The density is 5.89 g/cm3.

***

An optimized crystal structure of SmMgTl. Source: Materials Project, functional r²SCAN.

The space group is P-62m (No. 189) and the conventional cell measures 7.6323, 7.6323 and 4.6868 Å, with angles of 90.00, 90.00 and 120.00 degrees. The distinct sites, in fractional coordinates, are Sm at (0.0000, 0.5729, 0.0000), Mg at (0.0000, 0.2433, 0.5000), Tl at (0.0000, 0.0000, 0.0000) and Tl at (0.3333, 0.6667, 0.5000).

As for the magnetic moment: 0.000 Bohr magnetons per cell. The calculation puts the formation enthalpy at 0 K at -0.46 eV/atom. The density is 7.99 g/cm3.

***

An optimized crystal structure of SmMgZn2. Source: Materials Project, functional r²SCAN.

The space group is Fm-3m (No. 225) and the conventional cell measures 6.869, 6.869 and 6.869 Å, with angles of 90.00, 90.00 and 90.00 degrees. The distinct sites, in fractional coordinates, are Sm at (0.000, 0.000, 0.000), Mg at (0.000, 0.000, 0.500) and Zn at (0.250, 0.250, 0.250).

As for the magnetic moment: 0.000 Bohr magnetons per cell. The calculation puts the formation enthalpy at 0 K at -0.36 eV/atom. The density is 6.26 g/cm3.

***

An optimized crystal structure of Mg5Sn. Source: Materials Project, functional r²SCAN.

The space group is P-62m (No. 189) and the conventional cell measures 5.5940, 5.5940 and 5.0301 Å, with angles of 90.00, 90.00 and 120.00 degrees. The distinct sites, in fractional coordinates, are Mg at (0.0000, 0.3345, 0.0000), Mg at (0.3333, 0.6667, 0.5000) and Sn at (0.0000, 0.0000, 0.5000).

As for the magnetic moment: 0.000 Bohr magnetons per cell. The calculation puts the formation enthalpy at 0 K at -0.03 eV/atom. The density is 2.93 g/cm3.

***

An optimized crystal structure of Mg9Sn5. Source: Materials Project, functional r²SCAN.

The space group is R3 (No. 146, hexagonal axes) and the conventional cell measures 13.1812, 13.1812 and 13.3388 Å, with angles of 90.00, 90.00 and 120.00 degrees. The distinct sites, in fractional coordinates, are Mg at (0.0748, 0.8337, 0.0000), Mg at (0.0776, 0.8520, 0.6673), Mg at (0.0787, 0.8436, 0.3355), Mg at (0.1694, 0.4251, 0.1709), Mg at (0.1712, 0.4319, 0.5036), Mg at (0.1869, 0.4412, 0.8299), Sn at (0.0000, 0.0000, 0.0411), Sn at (0.0000, 0.0000, 0.2731), Sn at (0.0000, 0.0000, 0.5426), Sn at (0.0000, 0.0000, 0.7749), Sn at (0.0002, 0.3380, 0.6681) and Sn at (0.0017, 0.6634, 0.1676).

As for the magnetic moment: 0.000 Bohr magnetons per cell. The calculation puts the formation enthalpy at 0 K at -0.21 eV/atom. The density is 4.03 g/cm3.

***

An optimized crystal structure of Mg5Sn. Source: Materials Project, functional r²SCAN.

The space group is R32 (No. 155, hexagonal axes) and the conventional cell measures 5.5052, 5.5052 and 15.5512 Å, with angles of 90.00, 90.00 and 120.00 degrees. The distinct sites, in fractional coordinates, are Mg at (0.0000, 0.0000, 0.1671), Mg at (0.0000, 0.6659, 0.0000) and Sn at (0.0000, 0.0000, 0.5000).

As for the magnetic moment: 0.000 Bohr magnetons per cell. The calculation puts the formation enthalpy at 0 K at -0.03 eV/atom. The density is 2.93 g/cm3.

***

An optimized crystal structure of TbMgSn. Source: Materials Project, functional r²SCAN.

The space group is I4/mmm (No. 139) and the conventional cell measures 4.397, 4.397 and 15.903 Å, with angles of 90.00, 90.00 and 90.00 degrees. The distinct sites, in fractional coordinates, are Tb at (0.000, 0.000, 0.167), Mg at (0.000, 0.500, 0.000) and Sn at (0.000, 0.000, 0.364).

As for the magnetic moment: 0.000 Bohr magnetons per cell. The calculation puts the formation enthalpy at 0 K at -0.68 eV/atom. The density is 6.52 g/cm3.

***

An optimized crystal structure of TmMgSn. Source: Materials Project, functional r²SCAN.

The space group is I4/mmm (No. 139) and the conventional cell measures 4.341, 4.341 and 15.722 Å, with angles of 90.00, 90.00 and 90.00 degrees. The distinct sites, in fractional coordinates, are Tm at (0.000, 0.000, 0.168), Mg at (0.000, 0.500, 0.000) and Sn at (0.000, 0.000, 0.363).

As for the magnetic moment: 0.000 Bohr magnetons per cell. The calculation puts the formation enthalpy at 0 K at -0.61 eV/atom. The density is 6.99 g/cm3.

***

An optimized crystal structure of YbMgSn. Source: Materials Project, functional r²SCAN.

The space group is P-62m (No. 189) and the conventional cell measures 7.6102, 7.6102 and 4.3792 Å, with angles of 90.00, 90.00 and 120.00 degrees. The distinct sites, in fractional coordinates, are Yb at (0.0000, 0.4055, 0.0000), Mg at (0.0000, 0.7513, 0.5000), Sn at (0.0000, 0.0000, 0.0000) and Sn at (0.3333, 0.6667, 0.5000).

As for the magnetic moment: 0.002 Bohr magnetons per cell. The calculation puts the formation enthalpy at 0 K at -0.52 eV/atom. The density is 7.17 g/cm3.

***

An optimized crystal structure of SrMg. Source: Materials Project, functional r²SCAN.

The space group is Pm-3m (No. 221) and the conventional cell measures 4.190, 4.190 and 4.190 Å, with angles of 90.00, 90.00 and 90.00 degrees. The distinct sites, in fractional coordinates, are Sr at (0.000, 0.000, 0.000) and Mg at (0.500, 0.500, 0.500).

As for the magnetic moment: 0.000 Bohr magnetons per cell. The calculation puts the formation enthalpy at 0 K at -0.02 eV/atom. The density is 2.53 g/cm3.

***

An optimized crystal structure of SrMg5. Source: Materials Project, functional r²SCAN.

The space group is P-62m (No. 189) and the conventional cell measures 6.1880, 6.1880 and 5.0291 Å, with angles of 90.00, 90.00 and 120.00 degrees. The distinct sites, in fractional coordinates, are Sr at (0.0000, 0.0000, 0.0000), Mg at (0.0000, 0.5031, 0.5000) and Mg at (0.3333, 0.6667, 0.0000).

As for the magnetic moment: 0.000 Bohr magnetons per cell. The calculation puts the formation enthalpy at 0 K at -0.04 eV/atom. The density is 2.08 g/cm3.

***

An optimized crystal structure of SrMg2. Source: Materials Project, functional r²SCAN.

The space group is P6_3/mmc (No. 194) and the conventional cell measures 6.5068, 6.5068 and 10.2333 Å, with angles of 90.00, 90.00 and 120.00 degrees. The distinct sites, in fractional coordinates, are Sr at (0.3333, 0.6667, 0.0604), Mg at (0.0000, 0.0000, 0.0000) and Mg at (0.1661, 0.3323, 0.7500).

As for the magnetic moment: 0.000 Bohr magnetons per cell. The calculation puts the formation enthalpy at 0 K at -0.09 eV/atom. The density is 2.41 g/cm3.

***

An optimized crystal structure of SrMg. Source: Materials Project, functional r²SCAN.

The space group is C2/m (No. 12) and the conventional cell measures 13.205, 3.904 and 6.139 Å, with angles of 90.00, 111.49 and 90.00 degrees. The distinct sites, in fractional coordinates, are Sr at (0.101, 0.000, 0.329) and Mg at (0.154, 0.500, 0.872).

As for the magnetic moment: 0.000 Bohr magnetons per cell. The calculation puts the formation enthalpy at 0 K at 0.01 eV/atom. The density is 2.52 g/cm3.

***

An optimized crystal structure of SrMg2. Source: Materials Project, functional r²SCAN.

The space group is Fd-3m (No. 227, origin choice 2) and the conventional cell measures 9.090, 9.090 and 9.090 Å, with angles of 90.00, 90.00 and 90.00 degrees. The distinct sites, in fractional coordinates, are Sr at (0.125, 0.125, 0.125) and Mg at (0.000, 0.000, 0.500).

As for the magnetic moment: 0.002 Bohr magnetons per cell. The calculation puts the formation enthalpy at 0 K at -0.08 eV/atom. The density is 2.41 g/cm3.

***

An optimized crystal structure of SrMg3. Source: Materials Project, functional r²SCAN.

The space group is I4/mmm (No. 139) and the conventional cell measures 5.443, 5.443 and 7.671 Å, with angles of 90.00, 90.00 and 90.00 degrees. The distinct sites, in fractional coordinates, are Sr at (0.000, 0.000, 0.000), Mg at (0.000, 0.000, 0.500) and Mg at (0.000, 0.500, 0.250).

As for the magnetic moment: 0.000 Bohr magnetons per cell. The calculation puts the formation enthalpy at 0 K at 0.00 eV/atom. The density is 2.35 g/cm3.

***

An optimized crystal structure of Sr6Mg23. Source: Materials Project, functional r²SCAN.

The space group is Fm-3m (No. 225) and the conventional cell measures 14.862, 14.862 and 14.862 Å, with angles of 90.00, 90.00 and 90.00 degrees. The distinct sites, in fractional coordinates, are Sr at (0.000, 0.000, 0.207), Mg at (0.000, 0.000, 0.500), Mg at (0.000, 0.250, 0.250), Mg at (0.122, 0.122, 0.378) and Mg at (0.175, 0.175, 0.175).

As for the magnetic moment: 1.335 Bohr magnetons per cell. The calculation puts the formation enthalpy at 0 K at -0.07 eV/atom. The density is 2.19 g/cm3.

***

An optimized crystal structure of SrMg3. Source: Materials Project, functional r²SCAN.

The space group is P6_3/mmc (No. 194) and the conventional cell measures 7.1495, 7.1495 and 5.3861 Å, with angles of 90.00, 90.00 and 120.00 degrees. The distinct sites, in fractional coordinates, are Sr at (0.3333, 0.6667, 0.2500) and Mg at (0.1500, 0.3000, 0.7500).

As for the magnetic moment: 0.000 Bohr magnetons per cell. The calculation puts the formation enthalpy at 0 K at 0.02 eV/atom. The density is 2.24 g/cm3.